1.
# Mg6MnCrO8 (PBE+U, relaxed)
# - Size of the total moment: 9.02 μB per formula unit
# - DFT formation energy: -62.7 kcal/mol of atoms
# - Excess energy over the best structure of this formula in the dataset: 4 meV per atom
data_Mg6MnCrO8
_chemical_formula_sum 'Mg6 Mn1 Cr1 O8'
_cell_length_a 4.375
_cell_length_b 4.375
_cell_length_c 8.512
_cell_angle_alpha 90.00
_cell_angle_beta 90.00
_cell_angle_gamma 90.00
_space_group_name_H-M_alt 'P 4/m m m'
_space_group_IT_number 123
_space_group_name_Hall '-P 4 2'
loop_
_atom_site_label
_atom_site_fract_x
_atom_site_fract_y
_atom_site_fract_z
Mg1 0.000 0.000 0.000
Mg2 0.000 0.500 0.249
Mg3 0.500 0.500 0.000
Mn1 0.000 0.000 0.500
Cr1 0.500 0.500 0.500
O1 0.000 0.000 0.242
O2 0.000 0.500 0.000
O3 0.000 0.500 0.500
O4 0.500 0.500 0.250

=====

2.
# SmTlMo2O8 (PBE+U, relaxed)
# - Size of the total moment: 0.00 μB per formula unit
# - DFT formation energy: -54.5 kcal/mol of atoms
data_SmTlMo2O8
_chemical_formula_sum 'Sm2 Tl2 Mo4 O16'
_cell_length_a 6.372
_cell_length_b 6.372
_cell_length_c 9.637
_cell_angle_alpha 90.00
_cell_angle_beta 90.00
_cell_angle_gamma 90.00
_space_group_name_H-M_alt 'P 4/n n c'
_space_group_IT_number 126
loop_
_space_group_symop_operation_xyz
'x,y,z'
'-x,-y,-z'
'-y+1/2,x,z'
'y+1/2,-x,-z'
'-x+1/2,-y+1/2,z'
'x+1/2,y+1/2,-z'
'y,-x+1/2,z'
'-y,x+1/2,-z'
'x,-y+1/2,-z+1/2'
'-x,y+1/2,z+1/2'
'-y+1/2,-x+1/2,-z+1/2'
'y+1/2,x+1/2,z+1/2'
'-x+1/2,y,-z+1/2'
'x+1/2,-y,z+1/2'
'y,x,-z+1/2'
'-y,-x,z+1/2'
loop_
_atom_site_label
_atom_site_fract_x
_atom_site_fract_y
_atom_site_fract_z
Sm1 0.250 0.250 0.250
Tl1 0.250 0.250 0.750
Mo1 0.250 0.750 0.000
O1 0.052 0.640 0.612

=====

3.
# Li9Mn2Co5O16 (PBE+U, relaxed)
# - Size of the total moment: 12.00 μB per formula unit
# - DFT formation energy: -42.4 kcal/mol of atoms
# - Excess energy over the best structure of this formula in the dataset: 23 meV per atom
data_Li9Mn2Co5O16
_chemical_formula_sum 'Li9 Mn2 Co5 O16'
_cell_length_a 5.184
_cell_length_b 11.338
_cell_length_c 5.191
_cell_angle_alpha 90.00
_cell_angle_beta 112.14
_cell_angle_gamma 90.00
_space_group_name_H-M_alt 'P 1 2/m 1'
_space_group_IT_number 10
_space_group_name_Hall '-P 2y'
loop_
_atom_site_label
_atom_site_fract_x
_atom_site_fract_y
_atom_site_fract_z
Li1 0.000 0.000 0.000
Li2 0.000 0.122 0.500
Li3 0.000 0.250 0.000
Li4 0.000 0.375 0.500
Li5 0.000 0.500 0.000
Li6 0.500 0.000 0.500
Mn1 0.500 0.126 0.000
Co1 0.500 0.250 0.500
Co2 0.500 0.375 0.000
Co3 0.500 0.500 0.500
O1 0.264 0.000 0.781
O2 0.267 0.251 0.772
O3 0.273 0.500 0.778
O4 0.275 0.376 0.272
O5 0.288 0.132 0.243

=====

4.
# Rb5LiSi2NiO8 (PBE+U, relaxed)
# - Size of the total moment: 0.00 μB per formula unit
# - DFT formation energy: -53.5 kcal/mol of atoms
data_Rb5LiSi2NiO8
_chemical_formula_sum 'Rb20 Li4 Si8 Ni4 O32'
_cell_length_a 8.764
_cell_length_b 10.421
_cell_length_c 13.943
_cell_angle_alpha 90.00
_cell_angle_beta 101.44
_cell_angle_gamma 90.00
_space_group_name_H-M_alt 'C 1 2/c 1'
_space_group_IT_number 15
_space_group_name_Hall '-C 2yc'
loop_
_atom_site_label
_atom_site_fract_x
_atom_site_fract_y
_atom_site_fract_z
Rb1 0.000 0.134 0.250
Rb2 0.108 0.351 0.572
Rb3 0.223 0.183 0.850
Li1 0.000 0.460 0.250
Si1 0.249 0.470 0.370
Ni1 0.000 0.000 0.000
O1 0.071 0.091 0.621
O2 0.112 0.362 0.368
O3 0.198 0.443 0.771
O4 0.215 0.056 0.026